Entry 1:
DFT (PBE+U) results for a relaxed LiV5B2O10 crystal.

Output
**DFT formation energy**: -2.5374 eV/atom
**Spin magnetization**: 0.6667 μB/atom

Cell: 9.5193 12.5327 3.0580 Å, 90.00 90.00 90.00°
Space group Pbam (No. 55)
Inequivalent atoms, fractional coordinates:
Li (0.0000, 0.0000, 0.0000) [2 per cell]
V (0.0000, 0.5000, 0.5000) [2 per cell]
V (0.0060, 0.2141, 0.5000) [4 per cell]
V (0.2480, 0.3882, 0.0000) [4 per cell]
B (0.2236, 0.6414, 0.0000) [4 per cell]
O (0.1119, 0.3555, 0.5000) [4 per cell]
O (0.1177, 0.9191, 0.5000) [4 per cell]
O (0.1311, 0.1455, 0.0000) [4 per cell]
O (0.1454, 0.7356, 0.0000) [4 per cell]
O (0.1531, 0.5441, 0.0000) [4 per cell]



Entry 2:
DFT (PBE+U) results for a relaxed Li3MnFe2B3O9 crystal.

Output
**DFT formation energy**: -2.3866 eV/atom
**ΔE to the lowest computed polymorph**: 0.04 eV per formula unit
**Spin magnetization**: 0.7222 μB/atom

Cell: 8.2604 6.2843 8.2608 Å, 90.00 119.94 90.00°
Space group Pm (No. 6)
Inequivalent atoms, fractional coordinates:
Li (0.0000, 0.2488, 0.0000) [2 per cell]
Li (0.3163, 0.2495, 0.7299) [2 per cell]
Li (0.5864, 0.2499, 0.3177) [2 per cell]
Mn (0.2893, 0.5000, 0.3761) [1 per cell]
Mn (0.6727, 0.5000, 0.0282) [1 per cell]
Fe (0.2950, 0.0000, 0.3768) [1 per cell]
Fe (0.6686, 0.0000, 0.0231) [1 per cell]
Fe (0.9410, 0.0000, 0.6487) [1 per cell]
Fe (0.9424, 0.5000, 0.6501) [1 per cell]
B (0.3004, 0.5000, 0.0132) [1 per cell]
B (0.3010, 0.0000, 0.0165) [1 per cell]
B (0.6360, 0.2465, 0.6833) [2 per cell]
B (0.9671, 0.2465, 0.3503) [2 per cell]
O (0.0464, 0.2490, 0.5435) [2 per cell]
O (0.0807, 0.2459, 0.2705) [2 per cell]
O (0.1064, 0.5000, 0.9322) [1 per cell]
O (0.1078, 0.0000, 0.9305) [1 per cell]
O (0.3800, 0.5000, 0.8999) [1 per cell]
O (0.3877, 0.0000, 0.9093) [1 per cell]
O (0.4086, 0.0000, 0.2105) [1 per cell]
O (0.4124, 0.5000, 0.2063) [1 per cell]
O (0.4428, 0.2465, 0.5764) [2 per cell]
O (0.7222, 0.2459, 0.8762) [2 per cell]
O (0.7432, 0.2498, 0.5965) [2 per cell]
O (0.7744, 0.2466, 0.2366) [2 per cell]



Entry 3:
DFT (PBE+U) results for a relaxed Li7Mn5O12 crystal.

Output
**DFT formation energy**: -2.1412 eV/atom
**ΔE to the lowest computed polymorph**: 0.37 eV per formula unit
**Spin magnetization**: 0.7500 μB/atom

Cell: 5.2712 6.0344 15.1136 Å, 97.49 94.46 110.58°
Space group P-1 (No. 2)
Inequivalent atoms, fractional coordinates:
Li (0.0000, 0.0000, 0.0000) [1 per cell]
Li (0.0846, 0.6555, 0.5817) [2 per cell]
Li (0.0864, 0.1733, 0.5792) [2 per cell]
Li (0.2592, 0.4988, 0.7512) [2 per cell]
Li (0.2705, 0.9974, 0.7559) [2 per cell]
Li (0.4008, 0.8530, 0.9180) [2 per cell]
Li (0.4121, 0.3241, 0.9246) [2 per cell]
Li (0.5000, 0.5000, 0.5000) [1 per cell]
Mn (0.0000, 0.5000, 0.0000) [1 per cell]
Mn (0.1590, 0.3319, 0.1650) [2 per cell]
Mn (0.1593, 0.8370, 0.1630) [2 per cell]
Mn (0.3350, 0.1644, 0.3353) [2 per cell]
Mn (0.3376, 0.6589, 0.3355) [2 per cell]
Mn (0.5000, 0.0000, 0.5000) [1 per cell]
O (0.0538, 0.3517, 0.2925) [2 per cell]
O (0.0895, 0.8237, 0.2931) [2 per cell]
O (0.1126, 0.9814, 0.8694) [2 per cell]
O (0.1192, 0.4797, 0.8816) [2 per cell]
O (0.2221, 0.6820, 0.4558) [2 per cell]
O (0.2468, 0.1462, 0.4561) [2 per cell]
O (0.2535, 0.3554, 0.0442) [2 per cell]
O (0.2781, 0.8173, 0.0439) [2 per cell]
O (0.3806, 0.0219, 0.6181) [2 per cell]
O (0.4178, 0.5012, 0.6300) [2 per cell]
O (0.4418, 0.1495, 0.2126) [2 per cell]
O (0.4448, 0.6509, 0.2173) [2 per cell]



Entry 4:
DFT (PBE+U) results for a relaxed Li2V3CrO8 crystal.

Output
**DFT formation energy**: -2.4805 eV/atom
**ΔE to the lowest computed polymorph**: 0.09 eV per formula unit
**Spin magnetization**: 0.5000 μB/atom

Cell: 8.3583 8.4611 8.4775 Å, 90.00 90.38 90.00°
Space group P2_1 (No. 4)
Inequivalent atoms, fractional coordinates:
Li (0.0027, 0.0000, 0.2541) [2 per cell]
Li (0.2449, 0.7568, 0.4983) [2 per cell]
Li (0.2554, 0.2500, 0.9949) [2 per cell]
Li (0.4950, 0.0102, 0.7562) [2 per cell]
V (0.1226, 0.8789, 0.8779) [2 per cell]
V (0.1241, 0.6221, 0.1220) [2 per cell]
V (0.1270, 0.3739, 0.3706) [2 per cell]
V (0.3718, 0.6254, 0.8717) [2 per cell]
V (0.3786, 0.3804, 0.6214) [2 per cell]
V (0.3818, 0.1332, 0.3759) [2 per cell]
Cr (0.1244, 0.1276, 0.6260) [2 per cell]
Cr (0.3749, 0.8767, 0.1230) [2 per cell]
O (0.1072, 0.3736, 0.1337) [2 per cell]
O (0.1107, 0.8894, 0.6412) [2 per cell]
O (0.1166, 0.1095, 0.8647) [2 per cell]
O (0.1179, 0.6031, 0.3610) [2 per cell]
O (0.1334, 0.1496, 0.3860) [2 per cell]
O (0.1335, 0.8664, 0.1104) [2 per cell]
O (0.1414, 0.6363, 0.8837) [2 per cell]
O (0.1442, 0.3674, 0.6087) [2 per cell]
O (0.3546, 0.8641, 0.8838) [2 per cell]
O (0.3621, 0.6408, 0.1069) [2 per cell]
O (0.3647, 0.1451, 0.6108) [2 per cell]
O (0.3667, 0.3717, 0.3842) [2 per cell]
O (0.3747, 0.6137, 0.6371) [2 per cell]
O (0.3828, 0.3922, 0.8565) [2 per cell]
O (0.3941, 0.8902, 0.3645) [2 per cell]
O (0.4001, 0.1196, 0.1348) [2 per cell]